Record 1
VASP calculation (PBE) on a geometry-optimized Te2MoWS2 structure.

Structure (CIF):
```
data_Te2MoWS2
_chemical_formula_sum 'Te2 Mo1 W1 S2'
_space_group_name_H-M_alt 'P 1'
_space_group_IT_number 1
_space_group_name_Hall 'P 1'
_cell_length_a 3.358
_cell_length_b 3.358
_cell_length_c 23.878
_cell_angle_alpha 90.00
_cell_angle_beta 90.00
_cell_angle_gamma 120.00
loop_
_atom_site_label
_atom_site_fract_x
_atom_site_fract_y
_atom_site_fract_z
Te1 0.000 0.000 0.000
Te2 0.000 0.000 0.158
Mo1 0.333 0.667 0.079
W1 0.000 0.000 0.778
S1 0.333 0.667 0.714
S2 0.333 0.667 0.842
```

Computed properties:
Space-group type: P3m1 (156)
Energy of formation from the pure elements (meV per atom): -633
Total moment (μB/f.u.): 0.00
Final energy (eV/atom): -6.859
Mass density (g cm⁻³): 4.27


Record 2
VASP calculation (PBE) on a geometry-optimized TeW2S3 structure.

Structure (CIF):
```
data_TeW2S3
_chemical_formula_sum 'Te2 W4 S6'
_space_group_name_H-M_alt 'P 1'
_space_group_IT_number 1
_space_group_name_Hall 'P 1'
_cell_length_a 3.273
_cell_length_b 3.273
_cell_length_c 37.226
_cell_angle_alpha 90.00
_cell_angle_beta 90.00
_cell_angle_gamma 120.00
loop_
_atom_site_label
_atom_site_fract_x
_atom_site_fract_y
_atom_site_fract_z
Te1 0.000 0.000 0.000
Te2 0.000 0.000 0.104
W1 0.000 0.000 0.488
W2 0.000 0.000 0.864
W3 0.333 0.667 0.052
W4 0.333 0.667 0.676
S1 0.000 0.000 0.635
S2 0.000 0.000 0.718
S3 0.333 0.667 0.447
S4 0.333 0.667 0.530
S5 0.333 0.667 0.823
S6 0.333 0.667 0.906
```

Computed properties:
Space-group type: P3m1 (156)
Energy of formation from the pure elements (meV per atom): -823
Total moment (μB/f.u.): 0.00
Final energy (eV/atom): -7.483
Mass density (g cm⁻³): 5.69


Record 3
VASP calculation (PBE) on a geometry-optimized Hf6Ni16Ge7 structure.

Structure (CIF):
```
data_Hf6Ni16Ge7
_chemical_formula_sum 'Hf6 Ni16 Ge7'
_space_group_name_H-M_alt 'P 1'
_space_group_IT_number 1
_space_group_name_Hall 'P 1'
_cell_length_a 8.204
_cell_length_b 8.204
_cell_length_c 8.204
_cell_angle_alpha 60.00
_cell_angle_beta 60.00
_cell_angle_gamma 60.00
loop_
_atom_site_label
_atom_site_fract_x
_atom_site_fract_y
_atom_site_fract_z
Hf1 0.205 0.205 0.795
Hf2 0.205 0.795 0.205
Hf3 0.205 0.795 0.795
Hf4 0.795 0.205 0.205
Hf5 0.795 0.205 0.795
Hf6 0.795 0.795 0.205
Ni1 0.145 0.618 0.618
Ni2 0.168 0.168 0.168
Ni3 0.168 0.168 0.497
Ni4 0.168 0.497 0.168
Ni5 0.382 0.382 0.382
Ni6 0.382 0.382 0.855
Ni7 0.382 0.855 0.382
Ni8 0.497 0.168 0.168
Ni9 0.503 0.832 0.832
Ni10 0.618 0.145 0.618
Ni11 0.618 0.618 0.145
Ni12 0.618 0.618 0.618
Ni13 0.832 0.503 0.832
Ni14 0.832 0.832 0.503
Ni15 0.832 0.832 0.832
Ni16 0.855 0.382 0.382
Ge1 0.000 0.000 0.500
Ge2 0.000 0.500 0.000
Ge3 0.000 0.500 0.500
Ge4 0.500 0.000 0.000
Ge5 0.500 0.000 0.500
Ge6 0.500 0.500 0.000
Ge7 0.500 0.500 0.500
```

Computed properties:
Space-group type: Fm-3m (225)
Energy of formation from the pure elements (meV per atom): -588
Final energy (eV/atom): -6.953
Mass density (g cm⁻³): 10.71


Record 4
VASP calculation (PBE) on a geometry-optimized Mg16Al12Pd structure.

Structure (CIF):
```
data_Mg16Al12Pd
_chemical_formula_sum 'Mg16 Al12 Pd1'
_space_group_name_H-M_alt 'P 1'
_space_group_IT_number 1
_space_group_name_Hall 'P 1'
_cell_length_a 9.021
_cell_length_b 9.021
_cell_length_c 9.070
_cell_angle_alpha 109.39
_cell_angle_beta 109.39
_cell_angle_gamma 109.01
loop_
_atom_site_label
_atom_site_fract_x
_atom_site_fract_y
_atom_site_fract_z
Mg1 0.000 0.000 0.000
Mg2 0.003 0.321 0.606
Mg3 0.006 0.356 0.002
Mg4 0.009 0.606 0.326
Mg5 0.013 0.013 0.355
Mg6 0.299 0.682 0.694
Mg7 0.321 0.003 0.606
Mg8 0.334 0.591 0.993
Mg9 0.356 0.006 0.002
Mg10 0.410 0.718 0.407
Mg11 0.591 0.334 0.993
Mg12 0.606 0.009 0.326
Mg13 0.625 0.625 0.670
Mg14 0.682 0.299 0.694
Mg15 0.697 0.697 0.300
Mg16 0.718 0.410 0.407
Al1 0.005 0.818 0.643
Al2 0.009 0.638 0.825
Al3 0.187 0.373 0.372
Al4 0.189 0.189 0.815
Al5 0.200 0.824 0.192
Al6 0.367 0.367 0.179
Al7 0.373 0.187 0.372
Al8 0.638 0.009 0.825
Al9 0.650 0.833 0.021
Al10 0.818 0.005 0.643
Al11 0.824 0.200 0.192
Al12 0.833 0.650 0.021
Pd1 0.333 0.333 0.654
```

Computed properties:
Space-group type: Cm (8)
Energy of formation from the pure elements (meV per atom): -79
Total moment (μB/f.u.): 0.00
Final energy (eV/atom): -2.691
Mass density (g cm⁻³): 2.38


Record 5
VASP calculation (PBE) on a geometry-optimized LiCuCO3 structure.

Structure (CIF):
```
data_LiCuCO3
_chemical_formula_sum 'Li9 Cu9 C9 O27'
_space_group_name_H-M_alt 'P 1'
_space_group_IT_number 1
_space_group_name_Hall 'P 1'
_cell_length_a 3.211
_cell_length_b 14.158
_cell_length_c 14.240
_cell_angle_alpha 119.81
_cell_angle_beta 95.07
_cell_angle_gamma 90.00
loop_
_atom_site_label
_atom_site_fract_x
_atom_site_fract_y
_atom_site_fract_z
Li1 0.000 0.000 0.000
Li2 0.002 0.339 0.667
Li3 0.003 0.044 0.367
Li4 0.010 0.715 0.721
Li5 0.013 0.393 0.348
Li6 0.034 0.691 0.350
Li7 0.067 0.386 0.062
Li8 0.932 0.063 0.676
Li9 0.982 0.710 0.014
Cu1 0.436 0.266 0.812
Cu2 0.493 0.619 0.500
Cu3 0.498 0.271 0.442
Cu4 0.503 0.603 0.123
Cu5 0.505 0.936 0.150
Cu6 0.511 0.557 0.790
Cu7 0.516 0.908 0.459
Cu8 0.544 0.934 0.791
Cu9 0.555 0.239 0.120
C1 0.002 0.150 0.912
C2 0.012 0.470 0.909
C3 0.024 0.824 0.588
C4 0.031 0.816 0.244
C5 0.477 0.146 0.562
C6 0.494 0.802 0.913
C7 0.542 0.499 0.259
C8 0.974 0.149 0.235
C9 0.975 0.483 0.578
O1 0.058 0.821 0.338
O2 0.081 0.474 0.663
O3 0.096 0.834 0.685
O4 0.101 0.903 0.238
O5 0.110 0.735 0.503
O6 0.125 0.153 0.324
O7 0.152 0.230 0.006
O8 0.181 0.478 0.999
O9 0.418 0.127 0.640
O10 0.474 0.784 0.994
O11 0.476 0.900 0.930
O12 0.482 0.246 0.581
O13 0.509 0.598 0.276
O14 0.511 0.480 0.339
O15 0.531 0.066 0.466
O16 0.533 0.721 0.816
O17 0.606 0.421 0.164
O18 0.833 0.057 0.151
O19 0.857 0.904 0.580
O20 0.882 0.555 0.906
O21 0.896 0.395 0.483
O22 0.917 0.169 0.832
O23 0.928 0.723 0.156
O24 0.942 0.053 0.898
O25 0.951 0.578 0.585
O26 0.965 0.238 0.229
O27 0.974 0.374 0.821
```

Computed properties:
Space-group type: P1 (1)
Energy of formation from the pure elements (meV per atom): -1617
Total moment (μB/f.u.): 0.00
Final energy (eV/atom): -6.287
Mass density (g cm⁻³): 3.49


Record 6
VASP calculation (PBE) on a geometry-optimized LiTi3NbP6O24 structure.

Structure (CIF):
```
data_LiTi3NbP6O24
_chemical_formula_sum 'Li1 Ti3 Nb1 P6 O24'
_space_group_name_H-M_alt 'P 1'
_space_group_IT_number 1
_space_group_name_Hall 'P 1'
_cell_length_a 8.873
_cell_length_b 8.873
_cell_length_c 8.873
_cell_angle_alpha 58.48
_cell_angle_beta 58.48
_cell_angle_gamma 58.48
loop_
_atom_site_label
_atom_site_fract_x
_atom_site_fract_y
_atom_site_fract_z
Li1 0.000 0.000 0.000
Ti1 0.140 0.140 0.140
Ti2 0.355 0.355 0.355
Ti3 0.635 0.635 0.635
Nb1 0.851 0.851 0.851
P1 0.029 0.451 0.745
P2 0.250 0.962 0.527
P3 0.451 0.745 0.029
P4 0.527 0.250 0.962
P5 0.745 0.029 0.451
P6 0.962 0.527 0.250
O1 0.055 0.271 0.918
O2 0.075 0.934 0.712
O3 0.133 0.498 0.276
O4 0.209 0.431 0.573
O5 0.209 0.993 0.362
O6 0.271 0.918 0.055
O7 0.276 0.133 0.498
O8 0.362 0.209 0.993
O9 0.418 0.782 0.555
O10 0.431 0.573 0.209
O11 0.490 0.715 0.857
O12 0.498 0.276 0.133
O13 0.555 0.418 0.782
O14 0.573 0.209 0.431
O15 0.623 0.781 0.998
O16 0.712 0.075 0.934
O17 0.715 0.857 0.490
O18 0.781 0.998 0.623
O19 0.782 0.555 0.418
O20 0.857 0.490 0.715
O21 0.918 0.055 0.271
O22 0.934 0.712 0.075
O23 0.993 0.362 0.209
O24 0.998 0.623 0.781
```

Computed properties:
Space-group type: R3 (146)
Energy of formation from the pure elements (meV per atom): -2980
Total moment (μB/f.u.): 0.00
Final energy (eV/atom): -7.850
Mass density (g cm⁻³): 2.83


- Which formula does entry 3 have?
  Hf6Ni16Ge7


- energy of formation from the pure elements of number 1 (Te2MoWS2)?
  -633 meV per atom


- Among the records above, which one has the lowest mass density?
  Mg16Al12Pd


- What is the formula in the fourth record?
  Mg16Al12Pd